[1]
! Rb2MoS4, optimized geometry, DFT PBE-GGA; values from VASP
&SYSTEM
  ibrav = 0, nat = 28, ntyp = 3
/
ATOMIC_SPECIES
Rb 85.47 Rb.upf
Mo 95.94 Mo.upf
S 32.06 S.upf
ATOMIC_POSITIONS crystal
Rb 0.0374 0.2500 0.1677
Rb 0.1533 0.7500 0.3961
Rb 0.3467 0.2500 0.8961
Rb 0.4626 0.7500 0.6677
Rb 0.5374 0.2500 0.3323
Rb 0.6533 0.7500 0.1039
Rb 0.8467 0.2500 0.6039
Rb 0.9626 0.7500 0.8323
Mo 0.2453 0.7500 0.0731
Mo 0.2547 0.2500 0.5731
Mo 0.7453 0.7500 0.4269
Mo 0.7547 0.2500 0.9269
S 0.0266 0.7500 0.1047
S 0.1620 0.0009 0.6435
S 0.1620 0.4991 0.6435
S 0.2142 0.2500 0.4030
S 0.2858 0.7500 0.9030
S 0.3380 0.5009 0.1435
S 0.3380 0.9991 0.1435
S 0.4734 0.2500 0.6047
S 0.5266 0.7500 0.3953
S 0.6620 0.0009 0.8565
S 0.6620 0.4991 0.8565
S 0.7142 0.2500 0.0970
S 0.7858 0.7500 0.5970
S 0.8380 0.5009 0.3565
S 0.8380 0.9991 0.3565
S 0.9734 0.2500 0.8953
CELL_PARAMETERS angstrom
9.9331 0.0000 0.0000
0.0000 7.1534 0.0000
0.0000 0.0000 12.7502
! Total energy = -144.135 eV per cell
! Crystal system = orthorhombic
! Calculated volume = 906 Å³ per cell
! Formation enthalpy at 0 K = -8.693 eV/f.u.

[2]
! Rb6Mo27S31, optimized geometry, DFT PBE-GGA; values from VASP
&SYSTEM
  ibrav = 0, nat = 128, ntyp = 3
/
ATOMIC_SPECIES
Rb 85.47 Rb.upf
Mo 95.94 Mo.upf
S 32.06 S.upf
ATOMIC_POSITIONS crystal
Rb 0.0960 0.0960 0.0960
Rb 0.1378 0.1378 0.1378
Rb 0.1817 0.1817 0.1817
Rb 0.3183 0.3183 0.3183
Rb 0.3622 0.3622 0.3622
Rb 0.4040 0.4040 0.4040
Rb 0.5960 0.5960 0.5960
Rb 0.6378 0.6378 0.6378
Rb 0.6817 0.6817 0.6817
Rb 0.8183 0.8183 0.8183
Rb 0.8622 0.8622 0.8622
Rb 0.9040 0.9040 0.9040
Mo 0.0086 0.1443 0.8168
Mo 0.0268 0.9003 0.2238
Mo 0.0474 0.1856 0.8563
Mo 0.0601 0.3904 0.2376
Mo 0.0843 0.2500 0.4157
Mo 0.0997 0.7762 0.9732
Mo 0.1096 0.4399 0.2624
Mo 0.1443 0.8168 0.0086
Mo 0.1437 0.9526 0.8144
Mo 0.1832 0.9914 0.8557
Mo 0.1856 0.8563 0.0474
Mo 0.2238 0.0268 0.9003
Mo 0.2376 0.0601 0.3904
Mo 0.2500 0.4157 0.0843
Mo 0.2624 0.1096 0.4399
Mo 0.2762 0.5997 0.4732
Mo 0.3144 0.4526 0.6437
Mo 0.3168 0.6443 0.5086
Mo 0.3557 0.4914 0.6832
Mo 0.3563 0.6856 0.5474
Mo 0.3904 0.2376 0.0601
Mo 0.4003 0.5268 0.7238
Mo 0.4157 0.0843 0.2500
Mo 0.4399 0.2624 0.1096
Mo 0.4526 0.6437 0.3144
Mo 0.4732 0.2762 0.5997
Mo 0.4914 0.6832 0.3557
Mo 0.5086 0.3168 0.6443
Mo 0.5268 0.7238 0.4003
Mo 0.5474 0.3563 0.6856
Mo 0.5601 0.7376 0.8904
Mo 0.5843 0.9157 0.7500
Mo 0.5997 0.4732 0.2762
Mo 0.6096 0.7624 0.9399
Mo 0.6437 0.3144 0.4526
Mo 0.6443 0.5086 0.3168
Mo 0.6832 0.3557 0.4914
Mo 0.6856 0.5474 0.3563
Mo 0.7238 0.4003 0.5268
Mo 0.7376 0.8904 0.5601
Mo 0.7500 0.5843 0.9157
Mo 0.7624 0.9399 0.6096
Mo 0.7762 0.9732 0.0997
Mo 0.8144 0.1437 0.9526
Mo 0.8168 0.0086 0.1443
Mo 0.8563 0.0474 0.1856
Mo 0.8557 0.1832 0.9914
Mo 0.8904 0.5601 0.7376
Mo 0.9003 0.2238 0.0268
Mo 0.9157 0.7500 0.5843
Mo 0.9399 0.6096 0.7624
Mo 0.9526 0.8144 0.1437
Mo 0.9732 0.0997 0.7762
Mo 0.9914 0.8557 0.1832
S 0.0025 0.2570 0.6500
S 0.0392 0.7148 0.4404
S 0.0464 0.2975 0.6858
S 0.0538 0.4462 0.7500
S 0.0596 0.7852 0.4608
S 0.0669 0.0669 0.0669
S 0.0894 0.3323 0.7240
S 0.1500 0.7570 0.5025
S 0.1677 0.4106 0.7760
S 0.1858 0.7975 0.5464
S 0.2025 0.4536 0.8142
S 0.2128 0.2128 0.2128
S 0.2148 0.5392 0.9404
S 0.2240 0.8323 0.5894
S 0.2430 0.4975 0.8500
S 0.2500 0.9462 0.5538
S 0.2570 0.6500 0.0025
S 0.2760 0.9106 0.6677
S 0.2852 0.5596 0.9608
S 0.2872 0.2872 0.2872
S 0.2975 0.6858 0.0464
S 0.3142 0.9536 0.7025
S 0.3323 0.7240 0.0894
S 0.3500 0.9975 0.7430
S 0.4106 0.7760 0.1677
S 0.4331 0.4331 0.4331
S 0.4404 0.0392 0.7148
S 0.4462 0.7500 0.0538
S 0.4536 0.8142 0.2025
S 0.4608 0.0596 0.7852
S 0.4975 0.8500 0.2430
S 0.5025 0.1500 0.7570
S 0.5392 0.9404 0.2148
S 0.5464 0.1858 0.7975
S 0.5538 0.2500 0.9462
S 0.5596 0.9608 0.2852
S 0.5669 0.5669 0.5669
S 0.5894 0.2240 0.8323
S 0.6500 0.0025 0.2570
S 0.6677 0.2760 0.9106
S 0.6858 0.0464 0.2975
S 0.7025 0.3142 0.9536
S 0.7128 0.7128 0.7128
S 0.7148 0.4404 0.0392
S 0.7240 0.0894 0.3323
S 0.7430 0.3500 0.9975
S 0.7500 0.0538 0.4462
S 0.7570 0.5025 0.1500
S 0.7760 0.1677 0.4106
S 0.7852 0.4608 0.0596
S 0.7872 0.7872 0.7872
S 0.7975 0.5464 0.1858
S 0.8142 0.2025 0.4536
S 0.8323 0.5894 0.2240
S 0.8500 0.2430 0.4975
S 0.9106 0.6677 0.2760
S 0.9331 0.9331 0.9331
S 0.9404 0.2148 0.5392
S 0.9462 0.5538 0.2500
S 0.9536 0.7025 0.3142
S 0.9608 0.2852 0.5596
S 0.9975 0.7430 0.3500
CELL_PARAMETERS angstrom
4.6978 2.7123 37.2117
-4.6978 2.7123 37.2117
0.0000 -5.4246 37.2117
! Total energy = -953.807 eV per cell
! Crystal system = trigonal
! Calculated volume = 2845 Å³ per cell
! Formation enthalpy at 0 K = -65.551 eV/f.u.
! Total moment = 0.00 μB/f.u.

[3]
! Rb2MoSe4, optimized geometry, DFT PBE-GGA; values from VASP
&SYSTEM
  ibrav = 0, nat = 28, ntyp = 3
/
ATOMIC_SPECIES
Rb 85.47 Rb.upf
Mo 95.94 Mo.upf
Se 78.96 Se.upf
ATOMIC_POSITIONS crystal
Rb 0.0469 0.2500 0.1602
Rb 0.1548 0.7500 0.3853
Rb 0.3452 0.2500 0.8853
Rb 0.4531 0.7500 0.6602
Rb 0.5469 0.2500 0.3398
Rb 0.6548 0.7500 0.1147
Rb 0.8452 0.2500 0.6147
Rb 0.9531 0.7500 0.8398
Mo 0.2462 0.7500 0.0694
Mo 0.2538 0.2500 0.5694
Mo 0.7462 0.7500 0.4306
Mo 0.7538 0.2500 0.9306
Se 0.0226 0.7500 0.1070
Se 0.1552 0.5030 0.6391
Se 0.1552 0.9970 0.6391
Se 0.2180 0.2500 0.3955
Se 0.2820 0.7500 0.8955
Se 0.3448 0.0030 0.1391
Se 0.3448 0.4970 0.1391
Se 0.4774 0.2500 0.6070
Se 0.5226 0.7500 0.3930
Se 0.6552 0.5030 0.8609
Se 0.6552 0.9970 0.8609
Se 0.7180 0.2500 0.1045
Se 0.7820 0.7500 0.6045
Se 0.8448 0.0030 0.3609
Se 0.8448 0.4970 0.3609
Se 0.9774 0.2500 0.8930
CELL_PARAMETERS angstrom
10.2596 0.0000 0.0000
0.0000 7.4415 0.0000
0.0000 0.0000 13.2561
! Total energy = -130.409 eV per cell
! Crystal system = orthorhombic
! Calculated volume = 1012 Å³ per cell
! Formation enthalpy at 0 K = -7.700 eV/f.u.

[4]
! Rb5Mo27Se31, optimized geometry, DFT PBE-GGA; values from VASP
&SYSTEM
  ibrav = 0, nat = 126, ntyp = 3
/
ATOMIC_SPECIES
Rb 85.47 Rb.upf
Mo 95.94 Mo.upf
Se 78.96 Se.upf
ATOMIC_POSITIONS crystal
Rb 0.0000 0.0000 0.2500
Rb 0.0000 0.0000 0.7500
Rb 0.3333 0.6667 0.0229
Rb 0.3333 0.6667 0.1867
Rb 0.3333 0.6667 0.3133
Rb 0.3333 0.6667 0.4771
Rb 0.6667 0.3333 0.5229
Rb 0.6667 0.3333 0.6867
Rb 0.6667 0.3333 0.8133
Rb 0.6667 0.3333 0.9771
Mo 0.0160 0.8491 0.0294
Mo 0.0160 0.8491 0.4706
Mo 0.0224 0.8549 0.5910
Mo 0.0224 0.8549 0.9090
Mo 0.1451 0.1676 0.5910
Mo 0.1451 0.1676 0.9090
Mo 0.1509 0.1669 0.0294
Mo 0.1509 0.1669 0.4706
Mo 0.1663 0.6501 0.6902
Mo 0.1663 0.6501 0.8098
Mo 0.1669 0.0160 0.5294
Mo 0.1669 0.0160 0.9706
Mo 0.1676 0.0224 0.0910
Mo 0.1676 0.0224 0.4090
Mo 0.1848 0.5000 0.7500
Mo 0.1862 0.4983 0.6295
Mo 0.1862 0.4983 0.8705
Mo 0.3120 0.8138 0.6295
Mo 0.3120 0.8138 0.8705
Mo 0.3152 0.8152 0.7500
Mo 0.3499 0.5163 0.6902
Mo 0.3499 0.5163 0.8098
Mo 0.4837 0.8337 0.6902
Mo 0.4837 0.8337 0.8098
Mo 0.4983 0.3120 0.1295
Mo 0.4983 0.3120 0.3705
Mo 0.5000 0.3152 0.2500
Mo 0.5000 0.6848 0.7500
Mo 0.5017 0.6880 0.6295
Mo 0.5017 0.6880 0.8705
Mo 0.5163 0.1663 0.1902
Mo 0.5163 0.1663 0.3098
Mo 0.6501 0.4837 0.1902
Mo 0.6501 0.4837 0.3098
Mo 0.6848 0.1848 0.2500
Mo 0.6880 0.1862 0.1295
Mo 0.6880 0.1862 0.3705
Mo 0.8138 0.5017 0.1295
Mo 0.8138 0.5017 0.3705
Mo 0.8152 0.5000 0.2500
Mo 0.8324 0.9776 0.5910
Mo 0.8324 0.9776 0.9090
Mo 0.8331 0.9840 0.0294
Mo 0.8331 0.9840 0.4706
Mo 0.8337 0.3499 0.1902
Mo 0.8337 0.3499 0.3098
Mo 0.8491 0.8331 0.5294
Mo 0.8491 0.8331 0.9706
Mo 0.8549 0.8324 0.0910
Mo 0.8549 0.8324 0.4090
Mo 0.9776 0.1451 0.0910
Mo 0.9776 0.1451 0.4090
Mo 0.9840 0.1509 0.5294
Mo 0.9840 0.1509 0.9706
Se 0.0000 0.0000 0.1446
Se 0.0000 0.0000 0.3554
Se 0.0000 0.0000 0.6446
Se 0.0000 0.0000 0.8554
Se 0.0026 0.6292 0.7500
Se 0.0045 0.6274 0.6339
Se 0.0045 0.6274 0.8661
Se 0.0320 0.7074 0.5312
Se 0.0320 0.7074 0.9688
Se 0.0388 0.7098 0.0858
Se 0.0388 0.7098 0.4142
Se 0.0418 0.3408 0.6896
Se 0.0418 0.3408 0.8104
Se 0.2902 0.3291 0.0858
Se 0.2902 0.3291 0.4142
Se 0.2926 0.3246 0.5312
Se 0.2926 0.3246 0.9688
Se 0.2991 0.9582 0.6896
Se 0.2991 0.9582 0.8104
Se 0.3246 0.0320 0.0312
Se 0.3246 0.0320 0.4688
Se 0.3291 0.0388 0.5858
Se 0.3291 0.0388 0.9142
Se 0.3333 0.6667 0.5760
Se 0.3333 0.6667 0.9240
Se 0.3408 0.2991 0.1896
Se 0.3408 0.2991 0.3104
Se 0.3708 0.3734 0.7500
Se 0.3734 0.0026 0.2500
Se 0.3726 0.3771 0.6339
Se 0.3726 0.3771 0.8661
Se 0.3771 0.0045 0.1339
Se 0.3771 0.0045 0.3661
Se 0.6229 0.9955 0.6339
Se 0.6229 0.9955 0.8661
Se 0.6274 0.6229 0.1339
Se 0.6274 0.6229 0.3661
Se 0.6266 0.9974 0.7500
Se 0.6292 0.6266 0.2500
Se 0.6592 0.7009 0.6896
Se 0.6592 0.7009 0.8104
Se 0.6667 0.3333 0.0760
Se 0.6667 0.3333 0.4240
Se 0.6709 0.9612 0.0858
Se 0.6709 0.9612 0.4142
Se 0.6754 0.9680 0.5312
Se 0.6754 0.9680 0.9688
Se 0.7009 0.0418 0.1896
Se 0.7009 0.0418 0.3104
Se 0.7074 0.6754 0.0312
Se 0.7074 0.6754 0.4688
Se 0.7098 0.6709 0.5858
Se 0.7098 0.6709 0.9142
Se 0.9582 0.6592 0.1896
Se 0.9582 0.6592 0.3104
Se 0.9612 0.2902 0.5858
Se 0.9612 0.2902 0.9142
Se 0.9680 0.2926 0.0312
Se 0.9680 0.2926 0.4688
Se 0.9955 0.3726 0.1339
Se 0.9955 0.3726 0.3661
Se 0.9974 0.3708 0.2500
CELL_PARAMETERS angstrom
9.7307 0.0000 0.0000
-4.8654 8.4271 0.0000
0.0000 0.0000 37.7931
! Total energy = -892.996 eV per cell
! Crystal system = hexagonal
! Calculated volume = 3099 Å³ per cell
! Formation enthalpy at 0 K = -55.022 eV/f.u.
! Total moment = 0.03 μB/f.u.

[5]
! RbMo6Se7, optimized geometry, DFT PBE-GGA; values from VASP
&SYSTEM
  ibrav = 0, nat = 28, ntyp = 3
/
ATOMIC_SPECIES
Rb 85.47 Rb.upf
Mo 95.94 Mo.upf
Se 78.96 Se.upf
ATOMIC_POSITIONS crystal
Rb 0.1314 0.1314 0.1314
Rb 0.8686 0.8686 0.8686
Mo 0.1941 0.5076 0.3837
Mo 0.3047 0.4395 0.6218
Mo 0.3782 0.6953 0.5605
Mo 0.3837 0.1941 0.5076
Mo 0.4395 0.6218 0.3047
Mo 0.4924 0.6163 0.8059
Mo 0.5076 0.3837 0.1941
Mo 0.5605 0.3782 0.6953
Mo 0.6163 0.8059 0.4924
Mo 0.6218 0.3047 0.4395
Mo 0.6953 0.5605 0.3782
Mo 0.8059 0.4924 0.6163
Se 0.0802 0.3312 0.6975
Se 0.1291 0.7449 0.4840
Se 0.2551 0.5160 0.8709
Se 0.2804 0.2804 0.2804
Se 0.3025 0.9198 0.6688
Se 0.3312 0.6975 0.0802
Se 0.4840 0.1291 0.7449
Se 0.5160 0.8709 0.2551
Se 0.6688 0.3025 0.9198
Se 0.6975 0.0802 0.3312
Se 0.7196 0.7196 0.7196
Se 0.7449 0.4840 0.1291
Se 0.8709 0.2551 0.5160
Se 0.9198 0.6688 0.3025
CELL_PARAMETERS angstrom
4.8784 2.8165 8.2921
-4.8784 2.8165 8.2921
0.0000 -5.6330 8.2921
! Total energy = -198.714 eV per cell
! Crystal system = trigonal
! Calculated volume = 684 Å³ per cell
! Formation enthalpy at 0 K = -12.135 eV/f.u.
! Total moment = 0.00 μB/f.u.

[6]
! Re3Mo, optimized geometry, DFT PBE-GGA; values from VASP
&SYSTEM
  ibrav = 0, nat = 8, ntyp = 2
/
ATOMIC_SPECIES
Re 186.21 Re.upf
Mo 95.94 Mo.upf
ATOMIC_POSITIONS crystal
Re 0.1660 0.3321 0.2500
Re 0.1660 0.8340 0.2500
Re 0.3321 0.1660 0.7500
Re 0.6679 0.8340 0.2500
Re 0.8340 0.1660 0.7500
Re 0.8340 0.6679 0.7500
Mo 0.3333 0.6667 0.7500
Mo 0.6667 0.3333 0.2500
CELL_PARAMETERS angstrom
5.5900 0.0000 0.0000
-2.7950 4.8411 0.0000
0.0000 0.0000 4.5496
! Total energy = -95.392 eV per cell
! Excess energy over the best structure of this formula in the dataset = 4 meV per atom
! Crystal system = hexagonal
! Calculated volume = 123 Å³ per cell
! Formation enthalpy at 0 K = 0.483 eV/f.u.
! Total moment = 0.00 μB/f.u.